No. 1
Computed, not measured: a relaxed structure of BaMo2P4O16 at the PBE with a Hubbard U level of DFT.

Values from the calculation:
- Energy of formation: -2.604 eV per atom
- ΔE to the lowest computed polymorph: 0.008 eV/atom

Cell: 6.548 12.606 9.350 Å, 90.00 123.47 90.00°
Sites, in units of the cell vectors:
Ba (0.000, 0.000, 0.000)
Ba (0.000, 0.500, 0.500)
Mo (0.459, 0.190, 0.663)
Mo (0.459, 0.310, 0.163)
Mo (0.541, 0.690, 0.837)
Mo (0.541, 0.810, 0.337)
P (0.127, 0.693, 0.936)
P (0.127, 0.807, 0.436)
P (0.344, 0.557, 0.249)
P (0.344, 0.943, 0.749)
P (0.656, 0.057, 0.251)
P (0.656, 0.443, 0.751)
P (0.873, 0.193, 0.564)
P (0.873, 0.307, 0.064)
O (0.150, 0.210, 0.663)
O (0.150, 0.290, 0.163)
O (0.180, 0.532, 0.308)
O (0.180, 0.968, 0.808)
O (0.183, 0.587, 0.047)
O (0.183, 0.913, 0.547)
O (0.195, 0.671, 0.806)
O (0.195, 0.829, 0.306)
O (0.273, 0.716, 0.560)
O (0.273, 0.784, 0.060)
O (0.318, 0.156, 0.453)
O (0.318, 0.344, 0.953)
O (0.466, 0.147, 0.155)
O (0.466, 0.353, 0.655)
O (0.495, 0.537, 0.743)
O (0.495, 0.963, 0.243)
O (0.505, 0.037, 0.757)
O (0.505, 0.463, 0.257)
O (0.534, 0.647, 0.345)
O (0.534, 0.853, 0.845)
O (0.682, 0.656, 0.047)
O (0.682, 0.844, 0.547)
O (0.727, 0.216, 0.940)
O (0.727, 0.284, 0.440)
O (0.805, 0.171, 0.694)
O (0.805, 0.329, 0.194)
O (0.817, 0.087, 0.453)
O (0.817, 0.413, 0.953)
O (0.820, 0.032, 0.192)
O (0.820, 0.468, 0.692)
O (0.850, 0.710, 0.837)
O (0.850, 0.790, 0.337)



No. 2
Computed, not measured: a relaxed structure of BaMo2P3O12 at the PBE with a Hubbard U level of DFT.

Values from the calculation:
- Energy of formation: -2.664 eV per atom

Cell: 9.531 9.531 9.531 Å, 54.73 54.73 54.73°
Sites, in units of the cell vectors:
Ba (0.000, 0.000, 0.000)
Ba (0.500, 0.500, 0.500)
Mo (0.151, 0.151, 0.151)
Mo (0.349, 0.349, 0.349)
Mo (0.651, 0.651, 0.651)
Mo (0.849, 0.849, 0.849)
P (0.038, 0.750, 0.462)
P (0.250, 0.538, 0.962)
P (0.462, 0.038, 0.750)
P (0.538, 0.962, 0.250)
P (0.750, 0.462, 0.038)
P (0.962, 0.250, 0.538)
O (0.019, 0.756, 0.631)
O (0.070, 0.923, 0.289)
O (0.077, 0.711, 0.930)
O (0.131, 0.256, 0.519)
O (0.211, 0.577, 0.430)
O (0.244, 0.369, 0.981)
O (0.256, 0.519, 0.131)
O (0.289, 0.070, 0.923)
O (0.369, 0.981, 0.244)
O (0.423, 0.570, 0.789)
O (0.430, 0.211, 0.577)
O (0.481, 0.869, 0.744)
O (0.519, 0.131, 0.256)
O (0.570, 0.789, 0.423)
O (0.577, 0.430, 0.211)
O (0.631, 0.019, 0.756)
O (0.711, 0.930, 0.077)
O (0.744, 0.481, 0.869)
O (0.756, 0.631, 0.019)
O (0.789, 0.423, 0.570)
O (0.869, 0.744, 0.481)
O (0.923, 0.289, 0.070)
O (0.930, 0.077, 0.711)
O (0.981, 0.244, 0.369)